This record from the Materials Project database describes an optimized crystal structure of SiN2F6. The functional is PBE.

Summary:
The crystal system is trigonal. The calculation puts the formation energy at -814 meV/atom. The MP2020-corrected energy comes out at -40.91 eV for the cell shown.

abc: 4.9747 5.0673 5.0673
angles: 60.00 90.00 90.00
Fractional coordinates of all 9 atoms:
F1 0.7967 0.8419 0.3163
F2 0.2033 0.1581 0.1581
F3 0.2033 0.1581 0.6837
F4 0.2033 0.6837 0.1581
F5 0.7967 0.3163 0.8419
F6 0.7967 0.8419 0.8419
Si1 0.0000 0.0000 0.0000
N1 0.2577 0.6667 0.6667
N2 0.7423 0.3333 0.3333



This record from the Materials Project database describes an optimized crystal structure of Na3Ca2TaO6. The functional is PBE.

Summary:
The crystal system is triclinic. The calculation puts the formation energy at -2868 meV/atom. The MP2020-corrected energy comes out at -167.88 eV for the cell shown. Its size of the total moment is 0.00 μB/f.u.

abc: 10.9938 10.4401 5.8326
angles: 79.52 69.03 31.45
Fractional coordinates of all 24 atoms:
O1 0.9585 0.3915 0.5424
O2 0.1511 0.7063 0.8574
O3 0.8604 0.2857 0.1554
O4 0.1090 0.5417 0.3786
O5 0.7085 0.1427 0.2763
O6 0.2099 0.7852 0.2129
O7 0.0314 0.4666 0.0468
O8 0.4576 0.0381 0.4690
O9 0.2892 0.8583 0.6979
O10 0.7801 0.2205 0.7942
O11 0.5507 0.1004 0.9612
O12 0.3812 0.9675 0.1108
Ca1 0.0870 0.0748 0.4233
Ca2 0.8275 0.8366 0.1641
Ca3 0.4142 0.4200 0.0857
Ca4 0.1741 0.1612 0.8302
Na1 0.3438 0.3299 0.6554
Na2 0.9158 0.9107 0.5940
Na3 0.7500 0.7454 0.7545
Na4 0.4954 0.4997 0.5023
Na5 0.6586 0.6691 0.3310
Na6 0.5934 0.5771 0.9132
Ta1 0.2520 0.2519 0.2534
Ta2 0.9941 0.0015 0.0061



This record from the Materials Project database describes an optimized crystal structure of ZrMnSi. The functional is PBE.

Summary:
The crystal system is orthorhombic. The calculation puts the formation energy at -671 meV/atom. The MP2020-corrected energy comes out at -100.59 eV for the cell shown.

abc: 3.7021 6.5941 7.6477
angles: 90.00 90.00 90.00
Fractional coordinates of all 12 atoms:
Mn1 0.2500 0.1389 0.4352
Mn2 0.2500 0.6389 0.0648
Mn3 0.7500 0.8611 0.5648
Mn4 0.7500 0.3611 0.9352
Si1 0.7500 0.7263 0.8787
Si2 0.7500 0.2263 0.6213
Si3 0.2500 0.2737 0.1213
Si4 0.2500 0.7737 0.3787
Zr1 0.7500 0.9738 0.1801
Zr2 0.2500 0.5262 0.6801
Zr3 0.2500 0.0262 0.8199
Zr4 0.7500 0.4738 0.3199



This record from the Materials Project database describes an optimized crystal structure of RbTmP2O7. The functional is PBE.

Summary:
The crystal system is monoclinic. The calculation puts the formation energy at -3162 meV/atom. The MP2020-corrected energy comes out at -342.82 eV for the cell shown. Its size of the total moment is 0.00 μB/f.u.

abc: 10.9211 7.8360 8.7585
angles: 74.51 90.00 90.00
Fractional coordinates of all 44 atoms:
O1 0.9255 0.6175 0.2656
O2 0.0614 0.6740 0.8018
O3 0.5614 0.3260 0.6982
O4 0.0026 0.9966 0.7285
O5 0.5745 0.6175 0.7656
O6 0.1075 0.6713 0.5205
O7 0.2725 0.9159 0.2597
O8 0.0901 0.8493 0.0021
O9 0.5901 0.1507 0.4979
O10 0.7725 0.0841 0.2403
O11 0.7275 0.0841 0.7403
O12 0.9099 0.1507 0.9979
O13 0.2275 0.9159 0.7597
O14 0.2680 0.5535 0.7400
O15 0.5026 0.0034 0.7715
O16 0.7680 0.4465 0.7600
O17 0.3925 0.6713 0.0205
O18 0.6075 0.3287 0.9795
O19 0.4974 0.9966 0.2285
O20 0.9974 0.0034 0.2715
O21 0.2320 0.5535 0.2400
O22 0.8925 0.3287 0.4795
O23 0.7320 0.4465 0.2600
O24 0.4255 0.3825 0.2344
O25 0.4099 0.8493 0.5021
O26 0.0745 0.3825 0.7344
O27 0.9386 0.3260 0.1982
O28 0.4386 0.6740 0.3018
P1 0.6327 0.4334 0.8084
P2 0.9023 0.1322 0.1742
P3 0.4023 0.8678 0.3258
P4 0.0977 0.8678 0.8258
P5 0.1327 0.5666 0.6916
P6 0.8673 0.4334 0.3084
P7 0.5977 0.1322 0.6742
P8 0.3673 0.5666 0.1916
Rb1 0.8177 0.8185 0.5559
Rb2 0.3177 0.1815 0.9441
Rb3 0.1823 0.1815 0.4441
Rb4 0.6823 0.8185 0.0559
Tm1 0.0993 0.7610 0.2587
Tm2 0.5993 0.2390 0.2413
Tm3 0.4007 0.7610 0.7587
Tm4 0.9007 0.2390 0.7413



This record from the Materials Project database describes an optimized crystal structure of MgGa4Cu2O8. The functional is PBE.

Summary:
The crystal system is monoclinic. The calculation puts the formation energy at -1707 meV/atom. The MP2020-corrected energy comes out at -87.10 eV for the cell shown. Its size of the total moment is 0.00 μB/f.u.

abc: 6.3402 5.9971 5.8009
angles: 61.08 62.77 60.99
Fractional coordinates of all 15 atoms:
Ga1 0.6250 0.1250 0.6250
Ga2 0.1023 0.9946 0.9515
Ga3 0.1250 0.6250 0.6250
Ga4 0.1477 0.2554 0.2985
O1 0.3607 0.3467 0.3916
O2 0.4499 0.8625 0.8438
O3 0.9320 0.3735 0.8472
O4 0.8893 0.9033 0.3489
O5 0.8001 0.3875 0.4062
O6 0.8893 0.9033 0.8584
O7 0.3607 0.3467 0.9011
O8 0.3180 0.8765 0.4028
Cu1 0.6250 0.6250 0.1250
Cu2 0.6250 0.6250 0.6250
Mg1 0.6250 0.1250 0.1250



This record from the Materials Project database describes an optimized crystal structure of CdAu. The functional is PBE.

Summary:
The crystal system is trigonal. The calculation puts the formation energy at -160 meV/atom.

abc: 8.2223 8.2223 6.0331
angles: 90.00 90.00 120.00
Fractional coordinates of all 18 atoms:
Cd1 0.6462 0.0000 0.2114
Cd2 0.3538 0.3538 0.2114
Cd3 0.0000 0.0000 0.6481
Cd4 0.0000 0.6462 0.2114
Cd5 0.6886 0.6886 0.9174
Cd6 0.3114 0.0000 0.9174
Cd7 0.6667 0.3333 0.4979
Cd8 0.3333 0.6667 0.4979
Cd9 0.0000 0.3114 0.9174
Au1 0.0000 0.0000 0.1618
Au2 0.3333 0.6667 0.9868
Au3 0.0000 0.3118 0.4197
Au4 0.3580 0.3580 0.7112
Au5 0.6882 0.6882 0.4197
Au6 0.0000 0.6420 0.7112
Au7 0.6667 0.3333 0.9868
Au8 0.6420 0.0000 0.7112
Au9 0.3118 0.0000 0.4197



This record from the Materials Project database describes an optimized crystal structure of Na2YNbSi2SO12. The functional is PBE.

Summary:
The calculation puts the formation energy at -2817 meV/atom. The MP2020-corrected energy comes out at -882.61 eV for the cell shown. Its size of the total moment is 0.00 μB/f.u.

abc: 9.1945 9.1945 22.9374
angles: 91.02 88.98 119.18
Fractional coordinates of all 114 atoms:
Nb1 0.9986 0.0051 0.6465
Nb2 0.6615 0.3348 0.4798
Nb3 0.9949 0.0014 0.1465
Nb4 0.6652 0.3385 0.9798
Nb5 0.3282 0.6681 0.8132
Nb6 0.3319 0.6718 0.3132
O1 0.4646 0.3300 0.1390
O2 0.2168 0.2084 0.4085
O3 0.9954 0.8127 0.4141
O4 0.4824 0.1768 0.5304
O5 0.8788 0.5213 0.1437
O6 0.2912 0.4824 0.7586
O7 0.8509 0.3755 0.9252
O8 0.3367 0.8687 0.9723
O9 0.8398 0.4809 0.4228
O10 0.1817 0.7175 0.7501
O11 0.1313 0.6633 0.4723
O12 0.8049 0.9926 0.4124
O13 0.1249 0.4498 0.5751
O14 0.4716 0.3259 0.7457
O15 0.5064 0.8142 0.7562
O16 0.1490 0.5101 0.8637
O17 0.7979 0.9966 0.8057
O18 0.2825 0.8183 0.2501
O19 0.8524 0.8269 0.5895
O20 0.8835 0.5418 0.7418
O21 0.6572 0.1177 0.1361
O22 0.1782 0.9697 0.1975
O23 0.1843 0.0421 0.5919
O24 0.0074 0.1951 0.9124
O25 0.4899 0.8510 0.3637
O26 0.8484 0.0509 0.0834
O27 0.6917 0.5339 0.5232
O28 0.5490 0.6762 0.9694
O29 0.8449 0.3030 0.5308
O30 0.3407 0.8618 0.5790
O31 0.4582 0.1165 0.2418
O32 0.6158 0.4850 0.9168
O33 0.9491 0.1516 0.5834
O34 0.5454 0.8547 0.4771
O35 0.5150 0.3842 0.4168
O36 0.3287 0.4794 0.0808
O37 0.5176 0.7088 0.2586
O38 0.3238 0.4510 0.4694
O39 0.0303 0.8218 0.6975
O40 0.8823 0.3428 0.6361
O41 0.1453 0.4546 0.9771
O42 0.1382 0.6593 0.0790
O43 0.3583 0.8672 0.8565
O44 0.5206 0.6713 0.5808
O45 0.1731 0.1476 0.0895
O46 0.6741 0.5284 0.2457
O47 0.8539 0.3380 0.2475
O48 0.6620 0.1461 0.7475
O49 0.6970 0.1551 0.0308
O50 0.2157 0.0095 0.3028
O51 0.8232 0.5176 0.0304
O52 0.5191 0.1602 0.9228
O53 0.6245 0.1491 0.4252
O54 0.3636 0.4885 0.3641
O55 0.1873 0.0046 0.9141
O56 0.5502 0.8751 0.0751
O57 0.0034 0.2021 0.3057
O58 0.4787 0.1212 0.6437
O59 0.9905 0.7843 0.8028
O60 0.5115 0.6364 0.8641
O61 0.6700 0.5354 0.6390
O62 0.2121 0.1880 0.8104
O63 0.8120 0.7879 0.3104
O64 0.7916 0.7832 0.9085
O65 0.1858 0.4936 0.2562
O66 0.1566 0.1843 0.6970
O67 0.8157 0.8434 0.1970
O68 0.1328 0.6417 0.3565
O69 0.7994 0.9750 0.6899
O70 0.9579 0.8157 0.0919
O71 0.0250 0.2006 0.1899
O72 0.4661 0.3083 0.0232
Na1 0.6866 0.3204 0.3299
Na2 0.7085 0.6898 0.4157
Na3 0.0200 0.9871 0.9966
Na4 0.3102 0.2915 0.9157
Na5 0.0129 0.9800 0.4966
Na6 0.9769 0.6248 0.2490
Na7 0.6796 0.3134 0.8299
Na8 0.3752 0.0231 0.7490
Na9 0.3533 0.6538 0.6632
Na10 0.6436 0.9581 0.5823
Na11 0.3462 0.6467 0.1632
Na12 0.0419 0.3564 0.0823
Y1 0.9961 0.0072 0.3532
Y2 0.6595 0.3373 0.1866
Y3 0.3261 0.6706 0.5199
Y4 0.9928 0.0039 0.8532
Y5 0.3294 0.6739 0.0199
Y6 0.6627 0.3405 0.6866
Si1 0.2853 0.2986 0.7531
Si2 0.9520 0.6319 0.0864
Si3 0.3681 0.0480 0.5864
Si4 0.3613 0.3223 0.0836
Si5 0.7014 0.7147 0.2531
Si6 0.3444 0.9721 0.9169
Si7 0.6777 0.6387 0.5836
Si8 0.0347 0.3813 0.9198
Si9 0.6187 0.9653 0.4198
Si10 0.6946 0.9890 0.7503
Si11 0.0110 0.3054 0.2503
Si12 0.0279 0.6556 0.4169
S1 0.6810 0.0474 0.0817
S2 0.3477 0.3807 0.4150
S3 0.0144 0.7140 0.7483
S4 0.6193 0.6523 0.9150
S5 0.9526 0.3190 0.5817
S6 0.2860 0.9856 0.2483



This record from the Materials Project database describes an optimized crystal structure of CsTeO3. The functional is PBE.

Summary:
The crystal system is cubic. The calculation puts the formation energy at -1426 meV/atom. The MP2020-corrected energy comes out at -26.01 eV for the cell shown. Its size of the total moment is 0.00 μB/f.u.

abc: 4.2600 4.2600 4.2600
angles: 90.00 90.00 90.00
Fractional coordinates of all 5 atoms:
O1 0.5000 0.0000 0.5000
O2 0.0000 0.5000 0.5000
O3 0.5000 0.5000 0.0000
Cs1 0.0000 0.0000 0.0000
Te1 0.5000 0.5000 0.5000